1.
Density functional theory data (PBE) for a relaxed Ga2PdI8 crystal.

```
Ga2PdI8
1.0
7.246 -4.686 0.000
7.246 4.686 0.000
-1.233 0.000 8.005
Ga Pd I
2 1 8
Cartesian
2.624 0.000 2.711
10.636 0.000 5.293
0.000 0.000 0.000
4.565 2.819 6.816
1.710 0.000 5.075
8.695 2.819 1.189
5.134 0.000 2.492
8.126 0.000 5.513
4.565 -2.819 6.816
11.550 0.000 2.930
8.695 -2.819 1.189
```

Summary:
Space group ... No. 12
Energy of formation from the pure elements ... -0.7126 eV/atom

---

2.
Density functional theory data (PBE) for a relaxed TbEuRh2 crystal.

```
TbEuRh2
1.0
0.000 3.422 3.422
3.422 0.000 3.422
3.422 3.422 0.000
Tb Eu Rh
1 1 2
Cartesian
0.000 0.000 0.000
3.422 3.422 3.422
1.711 1.711 1.711
5.133 5.133 5.133
```

Summary:
Space group ... No. 225
Energy of formation from the pure elements ... -0.5645 eV/atom

---

Calculated volume values, unit Å³ per atom, following the record order: 49.421, 20.040.
Electronic total energy values, unit eV per atom, following the record order: -2.57, -7.97.